Below is Sr6Nb7O21 after structural relaxation, with properties calculated at the r2SCAN level.

a = 7.009 Å, b = 9.048 Å, c = 9.049 Å
α = 113.57°, β = 104.98°, γ = 104.93°
Space group P1 (No. 1)
Unique sites:
Sr: 0.000 0.000 0.000
Sr: 0.128 0.845 0.562
Sr: 0.281 0.704 0.140
Sr: 0.422 0.565 0.704
Sr: 0.704 0.281 0.858
Sr: 0.847 0.142 0.423
Nb: 0.064 0.423 0.281
Nb: 0.208 0.281 0.855
Nb: 0.350 0.139 0.423
Nb: 0.494 0.997 0.997
Nb: 0.633 0.849 0.564
Nb: 0.777 0.706 0.139
Nb: 0.920 0.565 0.707
O: 0.003 0.495 0.501
O: 0.063 0.923 0.280
O: 0.065 0.423 0.781
O: 0.123 0.351 0.060
O: 0.198 0.275 0.353
O: 0.209 0.778 0.852
O: 0.273 0.207 0.636
O: 0.339 0.127 0.913
O: 0.345 0.642 0.428
O: 0.420 0.053 0.209
O: 0.487 0.993 0.497
O: 0.491 0.495 0.985
O: 0.563 0.923 0.780
O: 0.637 0.350 0.577
O: 0.638 0.850 0.062
O: 0.708 0.793 0.353
O: 0.783 0.203 0.134
O: 0.787 0.719 0.650
O: 0.855 0.637 0.926
O: 0.917 0.068 0.709
O: 0.931 0.571 0.210

Computed properties:
As for the energy of formation: -102.7 eV per formula unit. The total energy comes out at -14.48 eV per atom.